Record 1
Crystalline LaFeGe at its relaxed geometry, computed with PBE.

Cell and atoms, written as POSCAR:
```
LaFeGe
1.0
4.232 0.000 0.000
-2.116 3.665 0.000
0.000 0.000 4.286
La Fe Ge
1 1 1
Direct
0.000 0.000 0.000
0.333 0.667 0.500
0.667 0.333 0.500
```

Summary:
formation energy from the elements	-0.363	eV/atom
mass density	6.680	g/cm³
space group	P-6m2 (187)
electronic total energy	-6.3730	eV/atom

Record 2
Crystalline FeNiSn at its relaxed geometry, computed with PBE.

Cell and atoms, written as POSCAR:
```
FeNiSn
1.0
4.370 0.000 0.000
-2.185 3.784 0.000
0.000 0.000 5.260
Fe Ni Sn
2 2 2
Direct
0.333 0.667 0.250
0.667 0.333 0.750
0.000 0.000 0.000
0.000 0.000 0.500
0.333 0.667 0.750
0.667 0.333 0.250
```

Summary:
formation energy from the elements	0.153	eV/atom
mass density	8.907	g/cm³
space group	P6_3/mmc (194)
electronic total energy	-5.9331	eV/atom

Record 3
Crystalline CeNiSb3 at its relaxed geometry, computed with PBE.

Cell and atoms, written as POSCAR:
```
CeNiSb3
1.0
12.534 0.000 0.000
0.000 6.259 0.000
0.000 0.000 12.232
Ce Ni Sb
8 8 24
Direct
0.196 0.218 0.250
0.196 0.282 0.750
0.200 0.750 0.000
0.200 0.750 0.500
0.800 0.250 0.000
0.800 0.250 0.500
0.804 0.718 0.250
0.804 0.782 0.750
0.400 0.045 0.636
0.400 0.045 0.864
0.400 0.455 0.136
0.400 0.455 0.364
0.600 0.545 0.636
0.600 0.545 0.864
0.600 0.955 0.136
0.600 0.955 0.364
0.003 0.016 0.624
0.003 0.016 0.876
0.003 0.484 0.124
0.003 0.484 0.376
0.272 0.250 0.000
0.272 0.250 0.500
0.273 0.718 0.250
0.273 0.782 0.750
0.442 0.097 0.250
0.442 0.403 0.750
0.470 0.750 0.000
0.470 0.750 0.500
0.530 0.250 0.000
0.530 0.250 0.500
0.558 0.597 0.250
0.558 0.903 0.750
0.727 0.218 0.250
0.727 0.282 0.750
0.728 0.750 0.000
0.728 0.750 0.500
0.997 0.516 0.624
0.997 0.516 0.876
0.997 0.984 0.124
0.997 0.984 0.376
```

Summary:
formation energy from the elements	-0.709	eV/atom
mass density	7.810	g/cm³
space group	Pbcm (57)
electronic total energy	-5.4135	eV/atom